Record 1
Below is Cs2NaLiF6 after structural relaxation, with properties calculated at the PBE-GGA level.

Geometry as extended XYZ:
```
10
Lattice="0.0000 4.4165 4.4165 4.4165 0.0000 4.4165 4.4165 4.4165 0.0000" Properties=species:S:1:pos:R:3 pbc="T T T"
F 4.4165 4.4165 6.7573
F 6.7573 4.4165 4.4165
F 4.4165 6.7573 4.4165
F 4.4165 2.0757 4.4165
F 4.4165 4.4165 2.0757
F 2.0757 4.4165 4.4165
Li 0.0000 0.0000 0.0000
Cs 2.2082 2.2082 2.2082
Cs 6.6247 6.6247 6.6247
Na 4.4165 4.4165 4.4165
```

Symmetry: Fm-3m (225)
Calculated density (g cm⁻³): 3.949
M_tot (Bohr magnetons per cell): 2.00

Record 2
Below is Cs2LiNdF6 after structural relaxation, with properties calculated at the PBE-GGA level.

Geometry as extended XYZ:
```
10
Lattice="0.0000 4.5411 4.5411 4.5411 0.0000 4.5411 4.5411 4.5411 0.0000" Properties=species:S:1:pos:R:3 pbc="T T T"
F 4.5411 4.5411 6.7805
F 2.3017 4.5411 4.5411
F 4.5411 4.5411 2.3017
F 6.7805 4.5411 4.5411
F 4.5411 2.3017 4.5411
F 4.5411 6.7805 4.5411
Cs 6.8117 6.8117 6.8117
Cs 2.2706 2.2706 2.2706
Li 4.5411 4.5411 4.5411
Nd 0.0000 0.0000 0.0000
```

Symmetry: Fm-3m (225)
Calculated density (g cm⁻³): 4.708
M_tot (Bohr magnetons per cell): 0.00

| no. | energy of formation (eV per atom) |
| --- | --- |
| 1 | -2.4320 |
| 2 | -3.5246 |